First-principles (PBE-GGA) data for La4Cd4In2S13 after structural relaxation, as listed in Materials Project.

abc: 20.6992 25.4405 4.0350
angles: 90.00 90.00 90.00
Element x y z (fractional)
La1 0.0353 0.1507 0.0000
La2 0.1181 0.7468 0.0000
La3 0.1741 0.2781 0.0000
La4 0.1806 0.4391 0.0000
La5 0.3194 0.9391 0.0000
La6 0.3259 0.7781 0.0000
La7 0.3819 0.2468 0.0000
La8 0.4647 0.6507 0.0000
La9 0.5353 0.3493 0.0000
La10 0.6181 0.7532 0.0000
La11 0.6741 0.2219 0.0000
La12 0.6806 0.0609 0.0000
La13 0.8194 0.5609 0.0000
La14 0.8259 0.7219 0.0000
La15 0.8819 0.2532 0.0000
La16 0.9647 0.8493 0.0000
Cd1 0.0223 0.3397 0.5000
Cd2 0.1106 0.5870 0.0000
Cd3 0.1519 0.8884 0.5000
Cd4 0.1552 0.0185 0.0000
Cd5 0.3448 0.5185 0.0000
Cd6 0.3481 0.3884 0.5000
Cd7 0.3894 0.0870 0.0000
Cd8 0.4777 0.8397 0.5000
Cd9 0.5223 0.1603 0.5000
Cd10 0.6106 0.9130 0.0000
Cd11 0.6519 0.6116 0.5000
Cd12 0.6552 0.4815 0.0000
Cd13 0.8448 0.9815 0.0000
Cd14 0.8481 0.1116 0.5000
Cd15 0.8894 0.4130 0.0000
Cd16 0.9777 0.6603 0.5000
In1 0.0000 0.0000 0.5000
In2 0.0000 0.5000 0.5000
In3 0.2316 0.1494 0.5000
In4 0.2684 0.6494 0.5000
In5 0.5000 0.0000 0.5000
In6 0.5000 0.5000 0.5000
In7 0.7316 0.3506 0.5000
In8 0.7684 0.8506 0.5000
S1 0.0160 0.4285 0.0000
S2 0.0275 0.2714 0.0000
S3 0.0594 0.8174 0.5000
S4 0.0617 0.9471 0.0000
S5 0.0861 0.0727 0.5000
S6 0.1043 0.6600 0.5000
S7 0.1231 0.5124 0.5000
S8 0.1248 0.1977 0.5000
S9 0.1471 0.3590 0.5000
S10 0.2121 0.8463 0.0000
S11 0.2232 0.9726 0.5000
S12 0.2266 0.7419 0.5000
S13 0.2476 0.5944 0.0000
S14 0.2524 0.0944 0.0000
S15 0.2734 0.2419 0.5000
S16 0.2768 0.4726 0.5000
S17 0.2879 0.3463 0.0000
S18 0.3529 0.8590 0.5000
S19 0.3752 0.6977 0.5000
S20 0.3769 0.0124 0.5000
S21 0.3957 0.1600 0.5000
S22 0.4139 0.5727 0.5000
S23 0.4383 0.4471 0.0000
S24 0.4406 0.3174 0.5000
S25 0.4725 0.7714 0.0000
S26 0.4840 0.9285 0.0000
S27 0.5160 0.0715 0.0000
S28 0.5275 0.2286 0.0000
S29 0.5594 0.6826 0.5000
S30 0.5617 0.5529 0.0000
S31 0.5861 0.4273 0.5000
S32 0.6043 0.8400 0.5000
S33 0.6231 0.9876 0.5000
S34 0.6248 0.3023 0.5000
S35 0.6471 0.1410 0.5000
S36 0.7121 0.6537 0.0000
S37 0.7232 0.5274 0.5000
S38 0.7266 0.7581 0.5000
S39 0.7476 0.9056 0.0000
S40 0.7524 0.4056 0.0000
S41 0.7734 0.2581 0.5000
S42 0.7768 0.0274 0.5000
S43 0.7879 0.1537 0.0000
S44 0.8529 0.6410 0.5000
S45 0.8752 0.8023 0.5000
S46 0.8769 0.4876 0.5000
S47 0.8957 0.3400 0.5000
S48 0.9139 0.9273 0.5000
S49 0.9383 0.0529 0.0000
S50 0.9406 0.1826 0.5000
S51 0.9725 0.7286 0.0000
S52 0.9840 0.5715 0.0000

Properties
As for the space-group type: Pbam (55). The formation energy comes out at -3401 kJ/mol of formula units. The crystal system is orthorhombic.


First-principles (PBE-GGA) data for Cu2PbSe2Cl2O6 after structural relaxation, as listed in Materials Project.

abc: 8.2322 8.2322 6.9900
angles: 90.95 90.95 72.84
Element x y z (fractional)
Cu1 0.0000 0.5000 0.0000
Cu2 0.1115 0.8885 0.7500
Cu3 0.5000 0.0000 0.5000
Cu4 0.8885 0.1115 0.2500
Pb1 0.3426 0.6574 0.2500
Pb2 0.6574 0.3426 0.7500
Se1 0.0674 0.2682 0.5883
Se2 0.2682 0.0674 0.0883
Se3 0.7318 0.9326 0.9117
Se4 0.9326 0.7318 0.4117
Cl1 0.2710 0.4766 0.8813
Cl2 0.4766 0.2710 0.3813
Cl3 0.5234 0.7290 0.6187
Cl4 0.7290 0.5234 0.1187
O1 0.0536 0.6250 0.2167
O2 0.0829 0.2016 0.1783
O3 0.1062 0.7982 0.4932
O4 0.2016 0.0829 0.6783
O5 0.2018 0.8938 0.0068
O6 0.3750 0.9464 0.2833
O7 0.6250 0.0536 0.7167
O8 0.7982 0.1062 0.9932
O9 0.7984 0.9171 0.3217
O10 0.8938 0.2018 0.5068
O11 0.9171 0.7984 0.8217
O12 0.9464 0.3750 0.7833

Properties
As for the space-group type: C2/c (15). The formation energy comes out at -1396 kJ/mol of formula units. The crystal system is monoclinic.


First-principles (PBE-GGA) data for ErAl10Fe2 after structural relaxation, as listed in Materials Project.

abc: 6.7347 6.7347 8.9275
angles: 90.00 90.00 97.27
Element x y z (fractional)
Er1 0.1262 0.8738 0.7500
Er2 0.8738 0.1262 0.2500
Al1 0.1347 0.4160 0.7500
Al2 0.1575 0.8425 0.0970
Al3 0.1575 0.8425 0.4030
Al4 0.2206 0.4783 0.2500
Al5 0.2277 0.2277 0.0000
Al6 0.2277 0.2277 0.5000
Al7 0.3743 0.6257 0.5483
Al8 0.3743 0.6257 0.9517
Al9 0.4160 0.1347 0.2500
Al10 0.4783 0.2206 0.7500
Al11 0.5217 0.7794 0.2500
Al12 0.5840 0.8653 0.7500
Al13 0.6257 0.3743 0.0483
Al14 0.6257 0.3743 0.4517
Al15 0.7723 0.7723 0.0000
Al16 0.7723 0.7723 0.5000
Al17 0.7794 0.5217 0.7500
Al18 0.8425 0.1575 0.5970
Al19 0.8425 0.1575 0.9030
Al20 0.8653 0.5840 0.2500
Fe1 0.0000 0.5000 0.0000
Fe2 0.0000 0.5000 0.5000
Fe3 0.5000 0.0000 0.0000
Fe4 0.5000 0.0000 0.5000

Properties
As for the space-group type: Cmcm (63). The formation energy comes out at -441 kJ/mol of formula units. The crystal system is orthorhombic.


First-principles (PBE-GGA) data for K2EuF5 after structural relaxation, as listed in Materials Project.

abc: 11.1745 7.6001 6.7326
angles: 90.00 90.00 90.00
Element x y z (fractional)
K1 0.1718 0.0024 0.0254
K2 0.1718 0.4976 0.0254
K3 0.3282 0.5024 0.5254
K4 0.3282 0.9976 0.5254
K5 0.6718 0.0024 0.4746
K6 0.6718 0.4976 0.4746
K7 0.8282 0.5024 0.9746
K8 0.8282 0.9976 0.9746
Eu1 0.0004 0.2500 0.5609
Eu2 0.9996 0.7500 0.4391
Eu3 0.5004 0.2500 0.9391
Eu4 0.4996 0.7500 0.0609
F1 0.0106 0.2500 0.9053
F2 0.0832 0.5309 0.6442
F3 0.0832 0.9691 0.6442
F4 0.1662 0.2500 0.3641
F5 0.1938 0.7500 0.3276
F6 0.3062 0.2500 0.8276
F7 0.3338 0.7500 0.8641
F8 0.4168 0.0309 0.1442
F9 0.4168 0.4691 0.1442
F10 0.4894 0.7500 0.4053
F11 0.5106 0.2500 0.5947
F12 0.5832 0.5309 0.8558
F13 0.5832 0.9691 0.8558
F14 0.6662 0.2500 0.1359
F15 0.6938 0.7500 0.1724
F16 0.8062 0.2500 0.6724
F17 0.8338 0.7500 0.6359
F18 0.9168 0.0309 0.3558
F19 0.9168 0.4691 0.3558
F20 0.9894 0.7500 0.0947

Properties
As for the space-group type: Pnma (62). The formation energy comes out at -2661 kJ/mol of formula units. The crystal system is orthorhombic.


First-principles (PBE-GGA) data for Li2BiBO4 after structural relaxation, as listed in Materials Project.

abc: 10.3341 6.8517 4.8242
angles: 90.00 90.00 90.00
Element x y z (fractional)
Li1 0.1603 0.0046 0.2154
Li2 0.1603 0.4954 0.2154
Li3 0.3397 0.5046 0.7154
Li4 0.3397 0.9954 0.7154
Li5 0.6603 0.0046 0.2846
Li6 0.6603 0.4954 0.2846
Li7 0.8397 0.5046 0.7846
Li8 0.8397 0.9954 0.7846
Bi1 0.1017 0.7500 0.7326
Bi2 0.3983 0.2500 0.2326
Bi3 0.6017 0.7500 0.7674
Bi4 0.8983 0.2500 0.2674
B1 0.0984 0.2500 0.7265
B2 0.4016 0.7500 0.2265
B3 0.5984 0.2500 0.7735
B4 0.9016 0.7500 0.2735
O1 0.0477 0.7500 0.1948
O2 0.0996 0.2500 0.4035
O3 0.1632 0.0740 0.8265
O4 0.1632 0.4260 0.8265
O5 0.3368 0.5740 0.3265
O6 0.3368 0.9260 0.3265
O7 0.4004 0.7500 0.9035
O8 0.4523 0.2500 0.6948
O9 0.5477 0.7500 0.3052
O10 0.5996 0.2500 0.0965
O11 0.6632 0.0740 0.6735
O12 0.6632 0.4260 0.6735
O13 0.8368 0.5740 0.1735
O14 0.8368 0.9260 0.1735
O15 0.9004 0.7500 0.5965
O16 0.9523 0.2500 0.8052

Properties
As for the space-group type: Pnma (62). The formation energy comes out at -1721 kJ/mol of formula units. The crystal system is orthorhombic.


First-principles (PBE-GGA) data for NaTi2Al5O12 after structural relaxation, as listed in Materials Project.

abc: 9.1618 15.5452 2.9412
angles: 90.00 90.00 90.00
Element x y z (fractional)
Na1 0.0000 0.0000 0.0000
Na2 0.5000 0.5000 0.0000
Ti1 0.2291 0.3561 0.0000
Ti2 0.2709 0.8561 0.0000
Ti3 0.7291 0.1439 0.0000
Ti4 0.7709 0.6439 0.0000
Al1 0.0000 0.5000 0.5000
Al2 0.0094 0.1991 0.5000
Al3 0.1916 0.6459 0.0000
Al4 0.3084 0.1459 0.0000
Al5 0.4906 0.6991 0.5000
Al6 0.5000 0.0000 0.5000
Al7 0.5094 0.3009 0.5000
Al8 0.6916 0.8541 0.0000
Al9 0.8084 0.3541 0.0000
Al10 0.9906 0.8009 0.5000
O1 0.1052 0.4486 0.0000
O2 0.1090 0.7518 0.0000
O3 0.1133 0.1480 0.0000
O4 0.1348 0.8935 0.5000
O5 0.1362 0.5928 0.5000
O6 0.1368 0.2948 0.5000
O7 0.3632 0.7948 0.5000
O8 0.3638 0.0928 0.5000
O9 0.3652 0.3935 0.5000
O10 0.3867 0.6480 0.0000
O11 0.3910 0.2518 0.0000
O12 0.3948 0.9486 0.0000
O13 0.6052 0.0514 0.0000
O14 0.6090 0.7482 0.0000
O15 0.6133 0.3520 0.0000
O16 0.6348 0.6065 0.5000
O17 0.6362 0.9072 0.5000
O18 0.6368 0.2052 0.5000
O19 0.8632 0.7052 0.5000
O20 0.8638 0.4072 0.5000
O21 0.8652 0.1065 0.5000
O22 0.8867 0.8520 0.0000
O23 0.8910 0.2482 0.0000
O24 0.8948 0.5514 0.0000

Properties
As for the space-group type: Pbam (55). The formation energy comes out at -6492 kJ/mol of formula units. The crystal system is orthorhombic.


First-principles (PBE-GGA) data for Rb3AlO3 after structural relaxation, as listed in Materials Project.

abc: 6.8858 6.8858 6.8965
angles: 97.54 97.54 115.61
Element x y z (fractional)
Rb1 0.2003 0.7997 0.0000
Rb2 0.2652 0.7348 0.5000
Rb3 0.3706 0.3706 0.1541
Rb4 0.6294 0.6294 0.8459
Rb5 0.7348 0.2652 0.5000
Rb6 0.7997 0.2003 0.0000
Al1 0.1556 0.1556 0.6465
Al2 0.8444 0.8444 0.3535
O1 0.1001 0.1001 0.3690
O2 0.1469 0.3981 0.7617
O3 0.3981 0.1469 0.7617
O4 0.6019 0.8531 0.2383
O5 0.8531 0.6019 0.2383
O6 0.8999 0.8999 0.6310

Properties
As for the space-group type: C2/m (12). The formation energy comes out at -1481 kJ/mol of formula units. The crystal system is monoclinic.


First-principles (PBE-GGA) data for B9Pb8O21F after structural relaxation, as listed in Materials Project.

abc: 14.2310 14.2310 14.2310
angles: 40.77 40.77 40.77
Element x y z (fractional)
B1 0.0695 0.6142 0.4224
B2 0.0776 0.8858 0.4305
B3 0.0986 0.2500 0.4014
B4 0.1142 0.5695 0.9224
B5 0.2500 0.4014 0.0986
B6 0.3858 0.5776 0.9305
B7 0.4014 0.0986 0.2500
B8 0.4224 0.0695 0.6142
B9 0.4305 0.0776 0.8858
B10 0.5695 0.9224 0.1142
B11 0.5776 0.9305 0.3858
B12 0.5986 0.9014 0.7500
B13 0.6142 0.4224 0.0695
B14 0.7500 0.5986 0.9014
B15 0.8858 0.4305 0.0776
B16 0.9014 0.7500 0.5986
B17 0.9224 0.1142 0.5695
B18 0.9305 0.3858 0.5776
Pb1 0.0309 0.2987 0.7899
Pb2 0.1636 0.1636 0.1636
Pb3 0.2013 0.4691 0.7101
Pb4 0.2101 0.9691 0.7013
Pb5 0.2899 0.7987 0.5309
Pb6 0.2987 0.7899 0.0309
Pb7 0.3364 0.3364 0.3364
Pb8 0.4691 0.7101 0.2013
Pb9 0.5309 0.2899 0.7987
Pb10 0.6636 0.6636 0.6636
Pb11 0.7013 0.2101 0.9691
Pb12 0.7101 0.2013 0.4691
Pb13 0.7899 0.0309 0.2987
Pb14 0.7987 0.5309 0.2899
Pb15 0.8364 0.8364 0.8364
Pb16 0.9691 0.7013 0.2101
O1 0.0126 0.9598 0.6461
O2 0.0312 0.7640 0.5473
O3 0.0402 0.3539 0.9874
O4 0.0473 0.2640 0.5312
O5 0.1068 0.3932 0.2500
O6 0.1132 0.6527 0.2728
O7 0.1461 0.4598 0.5126
O8 0.1527 0.6132 0.7728
O9 0.2272 0.8473 0.3868
O10 0.2360 0.4527 0.9688
O11 0.2500 0.1068 0.3932
O12 0.2640 0.5312 0.0473
O13 0.2728 0.1132 0.6527
O14 0.3473 0.7272 0.8868
O15 0.3539 0.9874 0.0402
O16 0.3868 0.2272 0.8473
O17 0.3932 0.2500 0.1068
O18 0.4527 0.9688 0.2360
O19 0.4598 0.5126 0.1461
O20 0.4688 0.9527 0.7360
O21 0.4874 0.8539 0.5402
O22 0.5126 0.1461 0.4598
O23 0.5312 0.0473 0.2640
O24 0.5402 0.4874 0.8539
O25 0.5473 0.0312 0.7640
O26 0.6068 0.7500 0.8932
O27 0.6132 0.7728 0.1527
O28 0.6461 0.0126 0.9598
O29 0.6527 0.2728 0.1132
O30 0.7272 0.8868 0.3473
O31 0.7360 0.4688 0.9527
O32 0.7500 0.8932 0.6068
O33 0.7640 0.5473 0.0312
O34 0.7728 0.1527 0.6132
O35 0.8473 0.3868 0.2272
O36 0.8539 0.5402 0.4874
O37 0.8868 0.3473 0.7272
O38 0.8932 0.6068 0.7500
O39 0.9527 0.7360 0.4688
O40 0.9598 0.6461 0.0126
O41 0.9688 0.2360 0.4527
O42 0.9874 0.0402 0.3539
F1 0.0000 0.0000 0.0000
F2 0.5000 0.5000 0.5000

Properties
As for the space-group type: R-3c (167). The formation energy comes out at -8912 kJ/mol of formula units. The crystal system is trigonal.


First-principles (PBE-GGA) data for Ca4Al6SO16 after structural relaxation, as listed in Materials Project.

abc: 7.9465 7.9465 7.9465
angles: 109.47 109.47 109.47
Element x y z (fractional)
Ca1 0.0000 0.0000 0.6236
Ca2 0.0000 0.6236 0.0000
Ca3 0.3764 0.3764 0.3764
Ca4 0.6236 0.0000 0.0000
Al1 0.2500 0.5000 0.7500
Al2 0.2500 0.7500 0.5000
Al3 0.5000 0.2500 0.7500
Al4 0.5000 0.7500 0.2500
Al5 0.7500 0.2500 0.5000
Al6 0.7500 0.5000 0.2500
S1 0.0000 0.0000 0.0000
O1 0.0000 0.0000 0.1879
O2 0.0000 0.1879 0.0000
O3 0.0000 0.4247 0.7173
O4 0.0000 0.7173 0.4247
O5 0.1879 0.0000 0.0000
O6 0.2827 0.2827 0.7074
O7 0.2827 0.7074 0.2827
O8 0.2926 0.5753 0.5753
O9 0.4247 0.0000 0.7173
O10 0.4247 0.7173 0.0000
O11 0.5753 0.2926 0.5753
O12 0.5753 0.5753 0.2926
O13 0.7074 0.2827 0.2827
O14 0.7173 0.0000 0.4247
O15 0.7173 0.4247 0.0000
O16 0.8121 0.8121 0.8121

Properties
As for the space-group type: I-43m (217). The formation energy comes out at -8511 kJ/mol of formula units. The crystal system is cubic.


First-principles (PBE-GGA) data for Sm4CuSn8 after structural relaxation, as listed in Materials Project.

abc: 4.4281 4.4683 17.4352
angles: 90.00 90.00 90.00
Element x y z (fractional)
Sm1 0.0000 0.0000 0.0000
Sm2 0.0000 0.5000 0.4896
Sm3 0.5000 0.0000 0.7899
Sm4 0.5000 0.5000 0.2915
Cu1 0.0000 0.5000 0.7128
Sn1 0.0000 0.0000 0.3307
Sn2 0.0000 0.0000 0.6305
Sn3 0.0000 0.5000 0.1417
Sn4 0.0000 0.5000 0.8574
Sn5 0.5000 0.0000 0.1494
Sn6 0.5000 0.0000 0.4474
Sn7 0.5000 0.5000 0.6303
Sn8 0.5000 0.5000 0.9686

Properties
As for the space-group type: Pmm2 (25). The formation energy comes out at -725 kJ/mol of formula units. The crystal system is orthorhombic.